1.
# Na2Ca5Ti3S12O48

A relaxed Na2Ca5Ti3S12O48 crystal (GGA-PBE, the Materials Project database).

**Total energy**: -6.56 eV/atom
**Energy of formation from the pure elements**: -2414 meV per atom
**V**: 15.58 Å³ per atom
**MP2020-corrected energy**: -7.036 eV/atom
**Spin magnetization**: 0.000 μB/atom

a = 8.992 Å, b = 15.506 Å, c = 23.462 Å
α = 89.95°, β = 89.83°, γ = 89.93°
Sites, in units of the cell vectors:
Na  0.000  0.000  0.000
Na  0.000  0.001  0.494
Na  0.002  0.668  0.165
Na  0.500  0.168  0.664
Na  0.502  0.498  0.497
Na  0.505  0.499  0.997
Ca  0.000  0.993  0.648
Ca  0.001  0.006  0.150
Ca  0.001  0.995  0.343
Ca  0.002  0.667  0.310
Ca  0.004  0.671  0.021
Ca  0.005  0.326  0.470
Ca  0.008  0.337  0.972
Ca  0.499  0.840  0.472
Ca  0.500  0.167  0.812
Ca  0.500  0.830  0.971
Ca  0.502  0.167  0.522
Ca  0.502  0.493  0.844
Ca  0.502  0.504  0.346
Ca  0.504  0.494  0.148
Ca  0.504  0.506  0.650
Ti  0.001  0.003  0.847
Ti  0.002  0.664  0.515
Ti  0.006  0.338  0.680
Ti  0.492  0.827  0.680
Ti  0.502  0.165  0.315
Ti  0.505  0.834  0.183
Ti  0.507  0.167  0.022
Ti  0.996  0.332  0.186
Ti  0.998  0.664  0.813
S  0.134  0.816  0.907
S  0.141  0.480  0.579
S  0.145  0.190  0.585
S  0.148  0.527  0.911
S  0.160  0.156  0.247
S  0.165  0.848  0.241
S  0.194  0.494  0.243
S  0.211  0.156  0.915
S  0.212  0.826  0.580
S  0.286  0.662  0.419
S  0.294  0.327  0.079
S  0.294  0.993  0.747
S  0.340  0.348  0.741
S  0.344  0.655  0.748
S  0.354  0.026  0.411
S  0.360  0.691  0.084
S  0.363  0.982  0.078
S  0.365  0.309  0.411
S  0.635  0.309  0.920
S  0.639  0.975  0.586
S  0.647  0.657  0.243
S  0.654  0.692  0.580
S  0.658  0.342  0.248
S  0.663  0.025  0.915
S  0.687  0.000  0.248
S  0.718  0.662  0.911
S  0.719  0.333  0.585
S  0.785  0.162  0.411
S  0.787  0.834  0.084
S  0.816  0.499  0.748
S  0.848  0.190  0.079
S  0.851  0.850  0.752
S  0.853  0.526  0.419
S  0.864  0.475  0.085
S  0.866  0.149  0.747
S  0.868  0.810  0.419
O  0.063  0.565  0.572
O  0.065  0.904  0.894
O  0.067  0.788  0.961
O  0.070  0.445  0.909
O  0.077  0.436  0.631
O  0.079  0.104  0.591
O  0.079  0.123  0.296
O  0.089  0.566  0.247
O  0.091  0.243  0.231
O  0.091  0.580  0.860
O  0.094  0.247  0.635
O  0.094  0.891  0.193
O  0.095  0.758  0.859
O  0.096  0.229  0.532
O  0.099  0.413  0.231
O  0.109  0.226  0.924
O  0.109  0.760  0.246
O  0.114  0.900  0.589
O  0.116  0.073  0.906
O  0.116  0.427  0.529
O  0.118  0.576  0.963
O  0.125  0.745  0.575
O  0.148  0.897  0.294
O  0.149  0.101  0.197
O  0.174  0.342  0.729
O  0.177  0.656  0.470
O  0.184  0.672  0.761
O  0.191  0.983  0.798
O  0.193  0.016  0.405
O  0.196  0.687  0.088
O  0.200  0.313  0.130
O  0.202  0.668  0.366
O  0.203  0.000  0.085
O  0.204  0.312  0.409
O  0.207  0.009  0.696
O  0.207  0.341  0.028
O  0.278  0.477  0.295
O  0.289  0.506  0.193
O  0.295  0.826  0.909
O  0.296  0.169  0.863
O  0.300  0.495  0.587
O  0.302  0.842  0.529
O  0.308  0.140  0.965
O  0.309  0.187  0.589
O  0.309  0.517  0.904
O  0.316  0.817  0.632
O  0.319  0.172  0.261
O  0.330  0.843  0.229
O  0.355  0.397  0.795
O  0.355  0.600  0.697
O  0.374  0.581  0.421
O  0.376  0.737  0.427
O  0.383  0.911  0.738
O  0.384  0.073  0.464
O  0.387  0.244  0.069
O  0.387  0.929  0.027
O  0.396  0.065  0.756
O  0.397  0.259  0.746
O  0.399  0.398  0.086
O  0.409  0.729  0.031
O  0.409  0.747  0.134
O  0.411  0.078  0.360
O  0.411  0.391  0.693
O  0.414  0.742  0.731
O  0.415  0.255  0.360
O  0.422  0.271  0.464
O  0.425  0.604  0.090
O  0.425  0.622  0.797
O  0.428  0.943  0.130
O  0.432  0.395  0.404
O  0.433  0.944  0.409
O  0.441  0.069  0.068
O  0.559  0.394  0.923
O  0.565  0.059  0.590
O  0.569  0.255  0.970
O  0.576  0.745  0.232
O  0.580  0.921  0.637
O  0.581  0.623  0.295
O  0.585  0.376  0.198
O  0.586  0.074  0.262
O  0.587  0.732  0.531
O  0.589  0.924  0.233
O  0.594  0.605  0.588
O  0.600  0.062  0.863
O  0.600  0.255  0.262
O  0.604  0.265  0.867
O  0.607  0.931  0.533
O  0.608  0.938  0.924
O  0.615  0.745  0.634
O  0.618  0.601  0.194
O  0.623  0.409  0.590
O  0.623  0.586  0.905
O  0.631  0.253  0.589
O  0.635  0.743  0.909
O  0.637  0.080  0.966
O  0.649  0.400  0.297
O  0.678  0.165  0.360
O  0.678  0.183  0.071
O  0.682  0.832  0.136
O  0.689  0.523  0.421
O  0.689  0.843  0.744
O  0.700  0.153  0.464
O  0.701  0.838  0.032
O  0.702  0.484  0.090
O  0.707  0.162  0.756
O  0.709  0.817  0.427
O  0.726  0.523  0.698
O  0.727  0.477  0.797
O  0.777  0.976  0.297
O  0.778  0.023  0.198
O  0.793  0.317  0.928
O  0.801  0.983  0.591
O  0.804  0.337  0.533
O  0.806  0.653  0.963
O  0.808  0.672  0.247
O  0.820  0.688  0.575
O  0.824  0.330  0.637
O  0.825  0.330  0.234
O  0.826  0.665  0.860
O  0.834  0.019  0.906
O  0.868  0.243  0.409
O  0.875  0.241  0.132
O  0.875  0.753  0.088
O  0.881  0.086  0.405
O  0.883  0.910  0.089
O  0.883  0.914  0.800
O  0.888  0.096  0.697
O  0.898  0.430  0.032
O  0.899  0.583  0.470
O  0.900  0.765  0.366
O  0.903  0.101  0.085
O  0.906  0.565  0.366
O  0.912  0.229  0.029
O  0.912  0.763  0.768
O  0.915  0.424  0.733
O  0.917  0.575  0.762
O  0.921  0.421  0.136
O  0.921  0.443  0.427
O  0.927  0.879  0.701
O  0.930  0.758  0.470
O  0.933  0.101  0.799
O  0.939  0.559  0.089
O  0.941  0.234  0.741
O  0.943  0.894  0.421

=====

2.
# NaCaY3S6O24

A relaxed NaCaY3S6O24 crystal (GGA-PBE, the Materials Project database).

**Total energy**: -6.88 eV/atom
**Energy of formation from the pure elements**: -2599 meV per atom
**V**: 16.99 Å³ per atom
**MP2020-corrected energy**: -7.350 eV/atom
**Spin magnetization**: 0.000 μB/atom

a = 9.235 Å, b = 9.235 Å, c = 24.161 Å
α = 90.00°, β = 90.00°, γ = 120.00°
Sites, in units of the cell vectors:
Na  0.000  0.000  0.000
Na  0.000  0.000  0.497
Na  0.333  0.667  0.160
Ca  0.000  0.000  0.145
Ca  0.333  0.667  0.015
Ca  0.333  0.667  0.518
Y  0.000  0.000  0.347
Y  0.000  0.000  0.644
Y  0.000  0.000  0.848
Y  0.333  0.667  0.313
Y  0.333  0.667  0.810
Y  0.667  0.333  0.184
Y  0.667  0.333  0.475
Y  0.667  0.333  0.684
Y  0.667  0.333  0.976
S  0.000  0.292  0.747
S  0.003  0.707  0.246
S  0.041  0.372  0.414
S  0.041  0.669  0.914
S  0.292  0.000  0.747
S  0.293  0.295  0.246
S  0.331  0.373  0.914
S  0.331  0.959  0.414
S  0.374  0.041  0.080
S  0.375  0.331  0.580
S  0.627  0.959  0.914
S  0.628  0.669  0.414
S  0.667  0.626  0.080
S  0.669  0.043  0.580
S  0.705  0.997  0.246
S  0.708  0.708  0.747
S  0.957  0.625  0.580
S  0.959  0.333  0.080
O  0.020  0.201  0.406
O  0.021  0.819  0.906
O  0.027  0.213  0.697
O  0.031  0.811  0.197
O  0.120  0.474  0.364
O  0.121  0.646  0.863
O  0.122  0.643  0.573
O  0.126  0.485  0.076
O  0.144  0.697  0.963
O  0.145  0.448  0.463
O  0.150  0.458  0.755
O  0.153  0.687  0.254
O  0.180  0.980  0.406
O  0.181  0.202  0.906
O  0.185  0.973  0.697
O  0.189  0.220  0.197
O  0.205  0.177  0.586
O  0.207  0.026  0.084
O  0.213  0.027  0.796
O  0.214  0.193  0.296
O  0.303  0.447  0.963
O  0.303  0.855  0.463
O  0.309  0.850  0.755
O  0.313  0.466  0.254
O  0.354  0.475  0.863
O  0.354  0.880  0.364
O  0.357  0.478  0.573
O  0.359  0.874  0.076
O  0.454  0.304  0.530
O  0.458  0.143  0.030
O  0.458  0.149  0.738
O  0.460  0.313  0.239
O  0.476  0.125  0.130
O  0.476  0.350  0.630
O  0.481  0.126  0.421
O  0.481  0.355  0.920
O  0.515  0.641  0.076
O  0.522  0.878  0.573
O  0.525  0.879  0.863
O  0.526  0.646  0.364
O  0.534  0.847  0.254
O  0.542  0.691  0.755
O  0.552  0.697  0.463
O  0.553  0.856  0.963
O  0.645  0.126  0.920
O  0.646  0.519  0.421
O  0.648  0.524  0.130
O  0.650  0.126  0.630
O  0.685  0.542  0.030
O  0.687  0.147  0.239
O  0.691  0.542  0.738
O  0.696  0.150  0.530
O  0.780  0.969  0.197
O  0.787  0.815  0.697
O  0.798  0.979  0.906
O  0.799  0.820  0.406
O  0.807  0.021  0.296
O  0.814  0.787  0.796
O  0.819  0.793  0.084
O  0.823  0.028  0.586
O  0.850  0.546  0.530
O  0.851  0.309  0.738
O  0.853  0.540  0.239
O  0.857  0.315  0.030
O  0.874  0.354  0.421
O  0.874  0.519  0.920
O  0.874  0.524  0.630
O  0.875  0.352  0.130
O  0.972  0.795  0.586
O  0.973  0.186  0.796
O  0.974  0.181  0.084
O  0.979  0.786  0.296

=====

3.
# Na3Ca3YS6O24

A relaxed Na3Ca3YS6O24 crystal (GGA-PBE, the Materials Project database).

**Total energy**: -6.40 eV/atom
**Energy of formation from the pure elements**: -2516 meV per atom
**V**: 15.89 Å³ per atom
**MP2020-corrected energy**: -6.841 eV/atom
**Spin magnetization**: 0.000 μB/atom

a = 9.180 Å, b = 9.192 Å, c = 24.126 Å
α = 90.14°, β = 90.09°, γ = 119.95°
Sites, in units of the cell vectors:
Na  0.000  0.000  0.000
Na  0.000  0.024  0.497
Na  0.307  0.667  0.658
Na  0.334  0.667  0.170
Na  0.361  0.360  0.749
Na  0.638  0.305  0.323
Na  0.641  0.002  0.750
Na  0.690  0.357  0.846
Na  0.967  0.666  0.406
Ca  0.000  0.000  0.148
Ca  0.000  0.993  0.851
Ca  0.001  0.013  0.342
Ca  0.323  0.668  0.819
Ca  0.341  0.667  0.311
Ca  0.656  0.324  0.482
Ca  0.663  0.331  0.982
Ca  0.677  0.345  0.673
Ca  0.999  0.990  0.644
Y  0.335  0.668  0.013
Y  0.344  0.668  0.512
Y  0.669  0.337  0.177
S  0.000  0.295  0.746
S  0.026  0.666  0.915
S  0.034  0.372  0.414
S  0.311  0.008  0.745
S  0.311  0.307  0.245
S  0.326  0.961  0.413
S  0.335  0.365  0.910
S  0.356  0.338  0.583
S  0.364  0.029  0.079
S  0.636  0.973  0.910
S  0.645  0.670  0.414
S  0.664  0.022  0.583
S  0.664  0.636  0.079
S  0.689  0.696  0.746
S  0.693  0.006  0.244
S  0.972  0.337  0.078
S  0.980  0.644  0.574
S  0.995  0.691  0.249
O  0.000  0.814  0.576
O  0.002  0.798  0.203
O  0.010  0.201  0.413
O  0.014  0.821  0.918
O  0.018  0.211  0.696
O  0.107  0.661  0.863
O  0.122  0.471  0.365
O  0.128  0.665  0.963
O  0.135  0.461  0.465
O  0.142  0.493  0.077
O  0.145  0.670  0.248
O  0.153  0.663  0.574
O  0.154  0.465  0.749
O  0.163  0.963  0.413
O  0.181  0.199  0.914
O  0.186  0.188  0.580
O  0.193  0.006  0.082
O  0.212  0.216  0.196
O  0.214  0.990  0.694
O  0.223  0.019  0.795
O  0.232  0.216  0.297
O  0.322  0.861  0.463
O  0.333  0.479  0.246
O  0.335  0.475  0.956
O  0.337  0.876  0.362
O  0.338  0.444  0.855
O  0.340  0.492  0.579
O  0.343  0.862  0.748
O  0.353  0.860  0.077
O  0.441  0.348  0.637
O  0.448  0.124  0.028
O  0.457  0.334  0.536
O  0.466  0.119  0.129
O  0.470  0.134  0.417
O  0.480  0.165  0.743
O  0.483  0.325  0.242
O  0.488  0.350  0.914
O  0.508  0.650  0.077
O  0.509  0.852  0.578
O  0.519  0.684  0.748
O  0.521  0.856  0.245
O  0.526  0.864  0.956
O  0.550  0.662  0.364
O  0.554  0.675  0.464
O  0.557  0.897  0.856
O  0.653  0.097  0.637
O  0.653  0.142  0.914
O  0.653  0.536  0.129
O  0.658  0.520  0.743
O  0.667  0.519  0.416
O  0.668  0.127  0.536
O  0.673  0.551  0.028
O  0.674  0.159  0.241
O  0.776  0.794  0.697
O  0.784  0.999  0.195
O  0.785  0.019  0.296
O  0.786  0.779  0.797
O  0.802  0.984  0.915
O  0.813  0.002  0.581
O  0.813  0.806  0.082
O  0.816  0.822  0.414
O  0.840  0.520  0.244
O  0.845  0.310  0.742
O  0.856  0.516  0.917
O  0.868  0.367  0.417
O  0.876  0.326  0.028
O  0.884  0.351  0.129
O  0.889  0.558  0.522
O  0.894  0.546  0.624
O  0.983  0.194  0.796
O  0.983  0.763  0.303
O  0.994  0.188  0.082

=====

4.
# NaCaSb2O7

A relaxed NaCaSb2O7 crystal (GGA-PBE, the Materials Project database).

**Total energy**: -5.90 eV/atom
**Energy of formation from the pure elements**: -2137 meV per atom
**V**: 13.03 Å³ per atom
**MP2020-corrected energy**: -6.339 eV/atom
**Spin magnetization**: 0.091 μB/atom

a = 7.391 Å, b = 7.391 Å, c = 7.391 Å
α = 119.81°, β = 119.67°, γ = 90.45°
Sites, in units of the cell vectors:
Na  0.500  0.000  0.000
Na  0.500  0.500  0.500
Ca  0.000  0.000  0.000
Ca  0.500  0.000  0.500
Sb  0.000  0.000  0.500
Sb  0.000  0.500  0.000
Sb  0.000  0.500  0.500
Sb  0.500  0.500  0.000
O  0.070  0.421  0.245
O  0.070  0.825  0.649
O  0.078  0.828  0.250
O  0.323  0.573  0.750
O  0.324  0.175  0.745
O  0.324  0.579  0.149
O  0.368  0.118  0.250
O  0.632  0.882  0.750
O  0.676  0.421  0.851
O  0.676  0.825  0.255
O  0.677  0.427  0.250
O  0.922  0.172  0.750
O  0.930  0.175  0.351
O  0.930  0.579  0.755